First-principles (PBE-GGA) data for crystalline Ba3As2S8O7 at its relaxed geometry, as listed in the Materials Project.

Values from the calculation:
**Calculated density**: 3.09 g/cm³
**VASP energy**: -5.264 eV/atom
**ΔH_f (0 K)**: -1.3640 eV/atom
**Space group**: P2_1/c

Unit cell a=12.576 b=11.807 c=16.297 alpha=55.84 beta=90.00 gamma=90.00
Positions (direct):
Ba (0.502, 0.275, 0.308)
Ba (0.498, 0.725, 0.692)
Ba (0.111, 0.680, 0.754)
Ba (0.998, 0.275, 0.808)
Ba (0.686, 0.917, 0.196)
Ba (0.814, 0.917, 0.696)
Ba (0.889, 0.320, 0.246)
Ba (0.186, 0.083, 0.304)
Ba (0.314, 0.083, 0.804)
Ba (0.002, 0.725, 0.192)
Ba (0.389, 0.680, 0.254)
Ba (0.611, 0.320, 0.746)
O (0.112, 0.022, 0.887)
O (0.322, 0.300, 0.219)
O (0.460, 0.464, 0.765)
O (0.443, 0.290, 0.655)
O (0.477, 0.938, 0.146)
O (0.387, 0.400, 0.399)
O (0.388, 0.022, 0.387)
O (0.943, 0.710, 0.845)
O (0.613, 0.600, 0.601)
O (0.557, 0.710, 0.345)
O (0.822, 0.700, 0.281)
O (0.977, 0.062, 0.354)
O (0.887, 0.600, 0.101)
O (0.523, 0.062, 0.854)
O (0.960, 0.536, 0.735)
O (0.908, 0.376, 0.626)
O (0.023, 0.938, 0.646)
O (0.408, 0.624, 0.874)
O (0.057, 0.290, 0.155)
O (0.113, 0.400, 0.899)
O (0.040, 0.464, 0.265)
O (0.888, 0.978, 0.113)
O (0.092, 0.624, 0.374)
O (0.540, 0.536, 0.235)
O (0.678, 0.700, 0.781)
O (0.178, 0.300, 0.719)
O (0.612, 0.978, 0.613)
O (0.592, 0.376, 0.126)
S (0.765, 0.225, 0.961)
S (0.426, 0.068, 0.049)
S (0.926, 0.932, 0.451)
S (0.392, 0.426, 0.568)
S (0.361, 0.938, 0.499)
S (0.455, 0.589, 0.971)
S (0.108, 0.426, 0.068)
S (0.139, 0.938, 0.999)
S (0.735, 0.225, 0.461)
S (0.574, 0.932, 0.951)
S (0.265, 0.775, 0.539)
S (0.155, 0.393, 0.288)
S (0.045, 0.589, 0.471)
S (0.790, 0.088, 0.793)
S (0.892, 0.574, 0.932)
S (0.710, 0.088, 0.293)
S (0.696, 0.602, 0.527)
S (0.861, 0.062, 0.001)
S (0.210, 0.912, 0.207)
S (0.290, 0.912, 0.707)
S (0.074, 0.068, 0.549)
S (0.955, 0.411, 0.529)
S (0.639, 0.062, 0.501)
S (0.845, 0.607, 0.712)
S (0.608, 0.574, 0.432)
S (0.304, 0.398, 0.473)
S (0.655, 0.607, 0.212)
S (0.804, 0.602, 0.027)
S (0.545, 0.411, 0.029)
S (0.345, 0.393, 0.788)
S (0.196, 0.398, 0.973)
S (0.235, 0.775, 0.039)
As (0.239, 0.461, 0.649)
As (0.739, 0.539, 0.851)
As (0.747, 0.917, 0.445)
As (0.753, 0.917, 0.945)
As (0.253, 0.083, 0.555)
As (0.761, 0.539, 0.351)
As (0.261, 0.461, 0.149)
As (0.247, 0.083, 0.055)